PBE CuH6Se2O8, optimized geometry; ΔE_f = -1.1941 eV per atom; E_tot = -171.7 eV/cell
1.0
-3.373 4.285 3.221
-3.947 -4.624 2.018
5.207 -1.483 7.425
O H Se Cu
16 12 4 2
Direct
0.666 0.505 0.751
0.211 0.717 0.474
0.779 0.799 0.928
0.953 0.905 0.201
0.721 0.799 0.428
0.279 0.201 0.572
0.711 0.283 0.026
0.453 0.095 0.299
0.789 0.283 0.526
0.547 0.905 0.701
0.221 0.201 0.072
0.834 0.505 0.251
0.166 0.495 0.749
0.334 0.495 0.249
0.047 0.095 0.799
0.289 0.717 0.974
0.709 0.358 0.931
0.282 0.570 0.339
0.791 0.358 0.431
0.291 0.642 0.069
0.209 0.642 0.569
0.068 0.774 0.459
0.568 0.226 0.041
0.218 0.570 0.839
0.932 0.226 0.541
0.718 0.430 0.661
0.432 0.774 0.959
0.782 0.430 0.161
0.727 0.768 0.243
0.773 0.768 0.743
0.273 0.232 0.757
0.227 0.232 0.257
0.500 0.000 0.500
0.000 0.000 0.000


PBE ReC6N9, optimized geometry; ΔE_f = 0.2821 eV per atom; E_tot = -270.2 eV/cell
1.0
7.455 0.868 0.000
10.916 7.528 0.000
0.000 0.000 11.408
C Re N
12 2 18
Direct
0.682 0.015 0.409
0.319 0.215 0.750
0.682 0.015 0.091
0.318 0.696 0.091
0.318 0.985 0.909
0.318 0.696 0.409
0.681 0.534 0.750
0.681 0.785 0.250
0.318 0.985 0.591
0.682 0.304 0.591
0.682 0.304 0.909
0.319 0.466 0.250
0.000 0.720 0.750
0.000 0.280 0.250
0.000 0.880 0.043
0.383 0.143 0.133
0.000 0.422 0.750
0.381 0.975 0.250
0.617 0.857 0.867
0.000 0.578 0.250
0.617 0.857 0.633
0.383 0.473 0.867
0.617 0.527 0.367
0.617 0.527 0.133
0.000 0.120 0.543
0.000 0.880 0.457
0.381 0.644 0.750
0.619 0.356 0.250
0.619 0.025 0.750
0.383 0.473 0.633
0.000 0.120 0.957
0.383 0.143 0.367


PBE CuH12C3S3N6Cl, optimized geometry; ΔE_f = -0.3557 eV per atom; E_tot = -1151.2 eV/cell
1.0
13.840 0.000 0.000
0.000 13.840 0.000
0.000 0.000 13.985
H N Cl C S Cu
96 48 8 24 24 8
Direct
0.044 0.020 0.126
0.039 0.165 0.910
0.313 0.150 0.451
0.001 0.545 0.843
0.557 0.732 0.680
0.268 0.443 0.820
0.139 0.230 0.230
0.230 0.139 0.770
0.711 0.781 0.349
0.999 0.455 0.343
0.961 0.835 0.410
0.005 0.327 0.345
0.413 0.749 0.293
0.350 0.813 0.201
0.281 0.789 0.599
0.781 0.711 0.651
0.768 0.062 0.864
0.544 0.480 0.124
0.211 0.719 0.901
0.335 0.539 0.660
0.719 0.211 0.099
0.443 0.268 0.180
0.985 0.200 0.186
0.062 0.768 0.136
0.232 0.938 0.364
0.687 0.850 0.951
0.251 0.587 0.207
0.369 0.515 0.397
0.515 0.700 0.564
0.789 0.281 0.401
0.232 0.943 0.930
0.665 0.461 0.160
0.813 0.350 0.799
0.730 0.361 0.480
0.495 0.827 0.405
0.861 0.770 0.730
0.249 0.087 0.543
0.913 0.751 0.957
0.150 0.313 0.549
0.751 0.913 0.043
0.955 0.501 0.593
0.131 0.015 0.353
0.219 0.289 0.151
0.995 0.673 0.845
0.749 0.413 0.707
0.639 0.270 0.020
0.289 0.219 0.849
0.327 0.005 0.655
0.650 0.187 0.701
0.455 0.999 0.657
0.485 0.300 0.064
0.268 0.438 0.386
0.943 0.232 0.070
0.732 0.557 0.320
0.438 0.268 0.614
0.200 0.985 0.814
0.361 0.730 0.520
0.485 0.631 0.103
0.770 0.861 0.270
0.827 0.495 0.595
0.835 0.961 0.590
0.165 0.039 0.090
0.587 0.251 0.793
0.850 0.687 0.049
0.520 0.456 0.376
0.938 0.232 0.636
0.087 0.249 0.457
0.300 0.485 0.936
0.499 0.045 0.907
0.173 0.505 0.095
0.015 0.131 0.647
0.956 0.980 0.626
0.768 0.057 0.430
0.505 0.173 0.905
0.187 0.650 0.299
0.456 0.520 0.624
0.869 0.985 0.853
0.985 0.869 0.147
0.270 0.639 0.980
0.673 0.995 0.155
0.501 0.955 0.407
0.515 0.369 0.603
0.020 0.044 0.874
0.057 0.768 0.570
0.015 0.800 0.686
0.980 0.956 0.374
0.631 0.485 0.897
0.545 0.001 0.157
0.539 0.335 0.340
0.700 0.515 0.436
0.461 0.665 0.840
0.800 0.015 0.314
0.732 0.562 0.886
0.562 0.732 0.114
0.480 0.544 0.876
0.045 0.499 0.093
0.348 0.763 0.585
0.393 0.022 0.625
0.812 0.398 0.744
0.552 0.659 0.117
0.002 0.772 0.619
0.110 0.993 0.109
0.688 0.898 0.006
0.898 0.688 0.994
0.498 0.272 0.131
0.448 0.341 0.617
0.763 0.348 0.415
0.272 0.498 0.869
0.507 0.610 0.859
0.398 0.812 0.256
0.237 0.652 0.915
0.102 0.312 0.494
0.772 0.002 0.381
0.998 0.228 0.119
0.978 0.607 0.875
0.312 0.102 0.506
0.152 0.263 0.165
0.188 0.602 0.244
0.522 0.107 0.875
0.728 0.502 0.369
0.993 0.110 0.891
0.228 0.998 0.881
0.737 0.848 0.335
0.502 0.728 0.631
0.263 0.152 0.835
0.052 0.841 0.133
0.007 0.890 0.391
0.341 0.448 0.383
0.841 0.052 0.867
0.659 0.552 0.883
0.022 0.393 0.375
0.478 0.893 0.375
0.890 0.007 0.609
0.602 0.188 0.756
0.390 0.493 0.641
0.607 0.978 0.125
0.159 0.948 0.367
0.893 0.478 0.625
0.652 0.237 0.085
0.848 0.737 0.665
0.107 0.522 0.125
0.610 0.507 0.141
0.948 0.159 0.633
0.493 0.390 0.359
0.650 0.468 0.589
0.350 0.532 0.089
0.850 0.968 0.161
0.468 0.650 0.411
0.968 0.850 0.839
0.032 0.150 0.339
0.150 0.032 0.661
0.532 0.350 0.911
0.734 0.916 0.402
0.626 0.602 0.141
0.266 0.084 0.902
0.374 0.398 0.641
0.104 0.574 0.205
0.926 0.604 0.955
0.574 0.104 0.795
0.766 0.416 0.348
0.416 0.766 0.652
0.896 0.426 0.705
0.426 0.896 0.295
0.584 0.234 0.152
0.102 0.874 0.391
0.604 0.926 0.045
0.126 0.898 0.109
0.396 0.074 0.545
0.084 0.266 0.098
0.234 0.584 0.848
0.074 0.396 0.455
0.602 0.626 0.859
0.398 0.374 0.359
0.916 0.734 0.598
0.898 0.126 0.891
0.874 0.102 0.609
0.236 0.848 0.076
0.764 0.152 0.576
0.348 0.264 0.326
0.494 0.896 0.993
0.604 0.994 0.743
0.848 0.236 0.924
0.111 0.317 0.989
0.652 0.736 0.826
0.104 0.506 0.507
0.896 0.494 0.007
0.506 0.104 0.493
0.611 0.183 0.261
0.006 0.396 0.757
0.817 0.389 0.239
0.683 0.889 0.511
0.183 0.611 0.739
0.994 0.604 0.257
0.736 0.652 0.174
0.396 0.006 0.243
0.152 0.764 0.424
0.889 0.683 0.489
0.389 0.817 0.761
0.264 0.348 0.674
0.317 0.111 0.011
0.347 0.971 0.089
0.971 0.347 0.911
0.529 0.847 0.839
0.653 0.029 0.589
0.847 0.529 0.161
0.471 0.153 0.339
0.029 0.653 0.411
0.153 0.471 0.661


PBE Sn, optimized geometry; ΔE_f = 0.0355 eV per atom; E_tot = -7.9 eV/cell
1.0
-2.954 2.954 1.623
2.954 -2.954 1.623
2.954 2.954 -1.623
Sn
2
Direct
0.000 0.000 0.000
0.250 0.750 0.500


PBE Dy5Ru2, optimized geometry; ΔE_f = -0.3573 eV per atom; E_tot = -88.2 eV/cell
1.0
2.481 -8.088 -0.793
7.393 -4.059 -1.028
1.316 -1.193 7.055
Dy Ru
10 4
Direct
0.360 0.206 0.814
0.206 0.360 0.314
0.579 0.421 0.750
0.421 0.579 0.250
0.207 0.979 0.585
0.794 0.640 0.686
0.979 0.207 0.085
0.640 0.794 0.186
0.793 0.021 0.415
0.021 0.793 0.915
0.603 0.175 0.076
0.397 0.825 0.924
0.175 0.603 0.576
0.825 0.397 0.424


PBE KSn2F5, optimized geometry; ΔE_f = -2.7135 eV per atom; E_tot = -228.6 eV/cell
1.0
-0.440 6.402 3.870
-9.173 -1.742 1.756
3.269 -6.350 10.701
Sn K F
12 6 30
Direct
0.176 0.665 0.826
0.172 0.665 0.500
0.675 0.667 0.996
0.837 0.333 0.167
0.144 0.664 0.162
0.842 0.333 0.485
0.344 0.335 0.996
0.682 0.663 0.666
0.344 0.335 0.337
0.843 0.336 0.849
0.658 0.667 0.346
0.332 0.335 0.668
0.002 0.998 0.999
0.495 0.027 0.166
0.007 0.010 0.667
0.498 0.984 0.833
0.499 0.002 0.501
0.004 0.980 0.333
0.284 0.292 0.166
0.732 0.713 0.837
0.673 0.881 0.017
0.327 0.119 0.987
0.887 0.711 0.222
0.099 0.287 0.775
0.101 0.287 0.558
0.187 0.878 0.155
0.514 0.699 0.494
0.981 0.299 0.992
0.146 0.879 0.831
0.638 0.879 0.329
0.995 0.691 0.667
0.392 0.712 0.719
0.687 0.878 0.657
0.824 0.119 0.492
0.883 0.707 0.447
0.815 0.123 0.837
0.319 0.119 0.343
0.495 0.310 0.835
0.496 0.302 0.499
0.858 0.118 0.169
0.176 0.880 0.512
0.982 0.695 0.010
0.357 0.120 0.670
0.394 0.713 0.942
0.983 0.305 0.342
0.617 0.288 0.281
0.219 0.709 0.334
0.617 0.287 0.053